DFT (PBE+U) results for crystalline LiFeSi2O6 at its relaxed geometry.

abc: 5.243 9.072 18.465
angles: 90.01 90.20 90.01
Fractional positions:
1 Li 0.619 0.001 0.876
2 Li 0.118 0.500 0.876
3 Li 0.119 0.343 0.626
4 Li 0.119 0.011 0.624
5 Li 0.380 0.510 0.377
6 Li 0.381 0.843 0.375
7 Li 0.380 0.354 0.125
8 Li 0.882 0.148 0.125
9 Fe 0.613 0.642 0.875
10 Fe 0.113 0.860 0.875
11 Fe 0.615 0.132 0.626
12 Fe 0.623 0.487 0.626
13 Fe 0.877 0.988 0.375
14 Fe 0.884 0.633 0.377
15 Fe 0.378 0.019 0.124
16 Fe 0.875 0.483 0.124
17 Si 0.708 0.339 0.972
18 Si 0.208 0.162 0.973
19 Si 0.440 0.338 0.775
20 Si 0.934 0.159 0.773
21 Si 0.428 0.841 0.727
22 Si 0.928 0.665 0.726
23 Si 0.712 0.837 0.527
24 Si 0.210 0.666 0.526
25 Si 0.788 0.337 0.474
26 Si 0.290 0.166 0.474
27 Si 0.071 0.343 0.273
28 Si 0.570 0.163 0.274
29 Si 0.075 0.838 0.226
30 Si 0.580 0.659 0.228
31 Si 0.785 0.832 0.026
32 Si 0.285 0.668 0.026
33 O 0.415 0.290 0.948
34 O 0.916 0.210 0.948
35 O 0.792 0.832 0.936
36 O 0.291 0.668 0.936
37 O 0.786 0.491 0.931
38 O 0.288 0.010 0.932
39 O 0.437 0.830 0.816
40 O 0.935 0.670 0.816
41 O 0.946 0.996 0.810
42 O 0.443 0.503 0.810
43 O 0.668 0.231 0.805
44 O 0.166 0.268 0.800
45 O 0.161 0.768 0.696
46 O 0.656 0.734 0.695
47 O 0.921 0.504 0.688
48 O 0.437 0.004 0.693
49 O 0.453 0.338 0.685
50 O 0.926 0.158 0.684
51 O 0.797 0.989 0.566
52 O 0.321 0.525 0.571
53 O 0.777 0.339 0.564
54 O 0.310 0.152 0.563
55 O 0.412 0.802 0.547
56 O 0.913 0.704 0.554
57 O 0.088 0.301 0.453
58 O 0.588 0.205 0.446
59 O 0.725 0.838 0.437
60 O 0.192 0.653 0.438
61 O 0.702 0.489 0.435
62 O 0.179 0.025 0.430
63 O 0.051 0.839 0.315
64 O 0.577 0.659 0.316
65 O 0.577 0.004 0.315
66 O 0.062 0.505 0.310
67 O 0.339 0.269 0.302
68 O 0.844 0.233 0.304
69 O 0.347 0.766 0.199
70 O 0.846 0.732 0.194
71 O 0.581 0.501 0.187
72 O 0.084 0.998 0.188
73 O 0.060 0.346 0.185
74 O 0.563 0.153 0.186
75 O 0.673 0.976 0.067
76 O 0.172 0.524 0.066
77 O 0.706 0.348 0.061
78 O 0.206 0.152 0.061
79 O 0.089 0.805 0.051
80 O 0.589 0.695 0.051

Values from the calculation:
Calculated formation energy (eV/atom): -2.72
Raw total energy (eV for the cell shown): -574.02
SG: P1, No. 1
Relative energy among the computed polymorphs (eV/atom): 0.035